## Cu4P2O9 (r2SCAN)

Data for a relaxed Cu4P2O9 crystal.

Raw total energy = -0.3396 Ha/atom
Space group = P-1 (2)
Magnetic moment = 4.00 μB/f.u.
V = 11.22 Å³ per atom
ΔH_f (0 K) = -1.56 eV per atom

Cell: 6.2625 7.5337 8.0100 Å, 99.32 112.26 97.99°
Fractional coordinates of all 30 atoms:
Cu 0.0922 0.3749 0.2369
Cu 0.1559 0.8846 0.5891
Cu 0.3459 0.8295 0.0632
Cu 0.3843 0.6048 0.7576
Cu 0.6157 0.3952 0.2424
Cu 0.6541 0.1705 0.9368
Cu 0.8441 0.1154 0.4109
Cu 0.9078 0.6251 0.7631
P 0.1288 0.2360 0.8491
P 0.4996 0.2841 0.5790
P 0.5004 0.7159 0.4210
P 0.8712 0.7640 0.1509
O 0.0129 0.0840 0.6661
O 0.0227 0.7736 0.0386
O 0.1546 0.4275 0.8088
O 0.1997 0.7727 0.7961
O 0.2488 0.2964 0.4649
O 0.3505 0.7202 0.5355
O 0.3682 0.1996 0.9723
O 0.3822 0.5338 0.2608
O 0.4964 0.8782 0.3285
O 0.5036 0.1218 0.6715
O 0.6178 0.4662 0.7392
O 0.6318 0.8004 0.0277
O 0.6495 0.2798 0.4645
O 0.7512 0.7036 0.5351
O 0.8003 0.2273 0.2039
O 0.8454 0.5725 0.1912
O 0.9773 0.2264 0.9614
O 0.9871 0.9160 0.3339

## Cu5P2O10 (r2SCAN)

Data for a relaxed Cu5P2O10 crystal.

Raw total energy = -0.3396 Ha/atom
Space group = P-1 (2)
Magnetic moment = 1.00 μB/f.u.
V = 11.32 Å³ per atom
ΔH_f (0 K) = -1.48 eV per atom

Cell: 5.2194 5.2482 7.6159 Å, 82.83 89.97 68.55°
Fractional coordinates of all 17 atoms:
Cu 0.0000 0.0000 0.0000
Cu 0.1186 0.7522 0.6374
Cu 0.2862 0.3826 0.0549
Cu 0.7138 0.6174 0.9451
Cu 0.8814 0.2478 0.3626
P 0.4527 0.8431 0.2900
P 0.5473 0.1569 0.7100
O 0.0471 0.6824 0.8840
O 0.1914 0.8983 0.3985
O 0.3014 0.3777 0.6107
O 0.3788 0.7521 0.1132
O 0.4888 0.8916 0.7594
O 0.5112 0.1084 0.2406
O 0.6212 0.2479 0.8868
O 0.6986 0.6223 0.3893
O 0.8086 0.1017 0.6015
O 0.9529 0.3176 0.1160

## Cu3P2O8 (r2SCAN)

Data for a relaxed Cu3P2O8 crystal.

Raw total energy = -0.3402 Ha/atom
Space group = P-1 (2)
Magnetic moment = 3.00 μB/f.u.
V = 10.84 Å³ per atom
ΔH_f (0 K) = -1.69 eV per atom

Cell: 4.8429 5.3164 6.1703 Å, 72.57 87.14 68.74°
Fractional coordinates of all 13 atoms:
Cu 0.0000 0.0000 0.0000
Cu 0.2719 0.2169 0.3194
Cu 0.7281 0.7831 0.6806
P 0.3593 0.3483 0.7794
P 0.6407 0.6517 0.2206
O 0.1549 0.6457 0.6559
O 0.2285 0.2264 0.0056
O 0.3319 0.6569 0.1695
O 0.3762 0.1441 0.6380
O 0.6238 0.8559 0.3620
O 0.6681 0.3431 0.8305
O 0.7715 0.7736 0.9944
O 0.8451 0.3543 0.3441

## Cu2PO5 (r2SCAN)

Data for a relaxed Cu2PO5 crystal.

Raw total energy = -0.3311 Ha/atom
Space group = Pnnm (58)
Magnetic moment = 0.52 μB/f.u.
V = 11.92 Å³ per atom
ΔH_f (0 K) = -1.44 eV per atom

Cell: 7.9647 8.4304 5.6810 Å, 90.00 90.00 90.00°
Fractional coordinates of all 32 atoms:
Cu 0.0000 0.0000 0.2478
Cu 0.0000 0.0000 0.7522
Cu 0.1496 0.3849 0.5000
Cu 0.3504 0.8849 0.0000
Cu 0.5000 0.5000 0.2522
Cu 0.5000 0.5000 0.7478
Cu 0.6496 0.1151 0.0000
Cu 0.8504 0.6151 0.5000
P 0.2301 0.7522 0.5000
P 0.2699 0.2522 0.0000
P 0.7301 0.7478 0.0000
P 0.7699 0.2478 0.5000
O 0.0963 0.6178 0.5000
O 0.1233 0.9206 0.0000
O 0.1335 0.9147 0.5000
O 0.1640 0.2420 0.2218
O 0.1640 0.2420 0.7782
O 0.3360 0.7420 0.2782
O 0.3360 0.7420 0.7218
O 0.3665 0.4147 0.0000
O 0.3767 0.4206 0.5000
O 0.4037 0.1178 0.0000
O 0.5963 0.8822 0.0000
O 0.6233 0.5794 0.5000
O 0.6335 0.5853 0.0000
O 0.6640 0.2580 0.2782
O 0.6640 0.2580 0.7218
O 0.8360 0.7580 0.2218
O 0.8360 0.7580 0.7782
O 0.8665 0.0853 0.5000
O 0.8767 0.0794 0.0000
O 0.9037 0.3822 0.5000